Entry P
## MgCo2O5 (PBE+U)

Data for a relaxed MgCo2O5 crystal.

## Properties
SG ... Pmmn (59)

Structure (POSCAR):
```
MgCo2O5
1.0
3.2025 0.0000 0.0000
0.0000 11.3824 0.0000
0.0000 0.0000 4.8899
Mg Co O
2 4 10
Direct
0.2500 0.2500 0.1174
0.7500 0.7500 0.8826
0.2500 0.6001 0.4175
0.2500 0.8999 0.4175
0.7500 0.1001 0.5825
0.7500 0.3999 0.5825
0.2500 0.0653 0.3745
0.2500 0.4347 0.3745
0.2500 0.6440 0.0865
0.2500 0.7500 0.5837
0.2500 0.8560 0.0865
0.7500 0.1440 0.9135
0.7500 0.2500 0.4163
0.7500 0.3560 0.9135
0.7500 0.5653 0.6255
0.7500 0.9347 0.6255
```

***

Entry Q
## MgCo2O5 (PBE+U)

Data for a relaxed MgCo2O5 crystal.

## Properties
SG ... Cmcm (63)

Structure (POSCAR):
```
MgCo2O5
1.0
1.8518 -5.1183 0.0000
1.8518 5.1183 0.0000
0.0000 0.0000 11.1314
Mg Co O
2 4 10
Direct
0.1109 0.8891 0.7500
0.8891 0.1109 0.2500
0.2047 0.7953 0.0970
0.2047 0.7953 0.4030
0.7953 0.2047 0.5970
0.7953 0.2047 0.9030
0.0429 0.9571 0.1302
0.0429 0.9571 0.3698
0.2327 0.7673 0.5800
0.2327 0.7673 0.9200
0.3029 0.6971 0.2500
0.6971 0.3029 0.7500
0.7673 0.2327 0.0800
0.7673 0.2327 0.4200
0.9571 0.0429 0.6302
0.9571 0.0429 0.8698
```

***

Most stable one: entry P, least stable one: entry Q.

***

Entry P
## MgCo2P2O8 (PBE+U)

Data for a relaxed MgCo2P2O8 crystal.

## Properties
SG ... P1 (1)

Structure (POSCAR):
```
MgCo2P2O8
1.0
4.9855 0.0000 0.0000
2.4181 4.4546 0.0000
2.3162 0.9565 8.1064
Mg Co P O
1 2 2 8
Direct
0.0000 0.0000 0.0000
0.1021 0.3705 0.2823
0.7474 0.7469 0.7334
0.3493 0.3638 0.8813
0.7523 0.0064 0.3787
0.1532 0.2778 0.0447
0.1760 0.4152 0.7450
0.3845 0.6482 0.8962
0.4939 0.3057 0.3192
0.6466 0.8090 0.5245
0.6858 0.0940 0.8563
0.9038 0.8151 0.2250
0.9904 0.0713 0.4253
```

***

Entry Q
## MgCo2P2O8 (PBE+U)

Data for a relaxed MgCo2P2O8 crystal.

## Properties
SG ... C2/m (12)

Structure (POSCAR):
```
MgCo2P2O8
1.0
4.1254 -2.7721 0.0000
4.1254 2.7721 0.0000
-0.4804 0.0000 6.5167
Mg Co P O
1 2 2 8
Direct
0.0000 0.0000 0.0000
0.5000 0.5000 0.0000
0.5000 0.5000 0.5000
0.1657 0.1657 0.7145
0.8343 0.8343 0.2855
0.1779 0.7324 0.2563
0.2550 0.2550 0.5251
0.2678 0.2678 0.9268
0.2676 0.8221 0.7437
0.7324 0.1779 0.2563
0.7322 0.7322 0.0732
0.7450 0.7450 0.4749
0.8221 0.2676 0.7437
```

***

Most stable one: entry P, least stable one: entry Q.